## SrMgB2O5 (GGA-PBE)

Data for a relaxed structure of SrMgB2O5.

Cell: 6.6074 5.3765 12.1399 Å, 90.00 102.63 90.00°
With the nearest neighbours (Å) after each atom.
Fractional coordinates of all 36 atoms:
Sr 0.1835 0.1096 0.1899  7 O 2.55-2.85
Sr 0.1835 0.3904 0.6899  7 O 2.55-2.85
Sr 0.8165 0.6096 0.3101  7 O 2.55-2.85
Sr 0.8165 0.8904 0.8101  7 O 2.55-2.85
Mg 0.3467 0.5855 0.3942  5 O 2.01-2.08
Mg 0.3467 0.9145 0.8942  5 O 2.01-2.08
Mg 0.6533 0.0855 0.1058  5 O 2.01-2.08
Mg 0.6533 0.4145 0.6058  5 O 2.01-2.08
B 0.1839 0.0907 0.4323  3 O 1.37-1.43
B 0.1839 0.4093 0.9323  3 O 1.37-1.43
B 0.3557 0.6333 0.1170  3 O 1.36-1.44
B 0.3557 0.8667 0.6170  3 O 1.36-1.44
B 0.6443 0.1333 0.3830  3 O 1.36-1.44
B 0.6443 0.3667 0.8830  3 O 1.36-1.44
B 0.8161 0.5907 0.0677  3 O 1.37-1.43
B 0.8161 0.9093 0.5677  3 O 1.37-1.43
O 0.1298 0.1811 0.8846  1 B 1.37
O 0.1298 0.3189 0.3846  1 B 1.37
O 0.1529 0.6215 0.8690  1 B 1.37
O 0.1529 0.8785 0.3690  1 B 1.37
O 0.2827 0.0812 0.5491  2 B 1.43-1.44
O 0.2827 0.4188 0.0491  2 B 1.43-1.44
O 0.3769 0.6026 0.2298  1 B 1.36
O 0.3769 0.8974 0.7298  1 B 1.36
O 0.3983 0.6494 0.5666  1 B 1.38
O 0.3983 0.8506 0.0666  1 B 1.38
O 0.6017 0.1494 0.9334  1 B 1.38
O 0.6017 0.3506 0.4334  1 B 1.38
O 0.6231 0.1026 0.2702  1 B 1.36
O 0.6231 0.3974 0.7702  1 B 1.36
O 0.7173 0.5812 0.9509  2 B 1.43-1.44
O 0.7173 0.9188 0.4509  2 B 1.43-1.44
O 0.8471 0.1215 0.6310  1 B 1.37
O 0.8471 0.3785 0.1310  1 B 1.37
O 0.8702 0.6811 0.6154  1 B 1.37
O 0.8702 0.8189 0.1154  1 B 1.37



## Ga11NO17 (GGA-PBE)

Data for a relaxed structure of Ga11NO17.

Cell: 5.9313 5.9313 23.7269 Å, 90.00 90.00 120.00°
With the nearest neighbours (Å) after each atom.
Fractional coordinates of all 58 atoms:
Ga 0.0000 0.0000 0.0000  6 O 2.00
Ga 0.0000 0.0000 0.5000  6 O 2.00
Ga 0.1680 0.3360 0.1070  4 O 1.90-2.08
Ga 0.1680 0.3360 0.3930  4 O 1.90-2.08
Ga 0.1680 0.8320 0.1070  4 O 1.90-2.08
Ga 0.1680 0.8320 0.3930  4 O 1.90-2.08
Ga 0.3333 0.6667 0.5242  4 O 1.91
Ga 0.3333 0.6667 0.6745  4 O 1.79-1.87
Ga 0.3333 0.6667 0.8255  4 O 1.79-1.87
Ga 0.3333 0.6667 0.9758  4 O 1.91
Ga 0.3360 0.1680 0.6070  4 O 1.90-2.08
Ga 0.3360 0.1680 0.8930  4 O 1.90-2.08
Ga 0.6640 0.8320 0.1070  4 O 1.90-2.08
Ga 0.6640 0.8320 0.3930  4 O 1.90-2.08
Ga 0.6667 0.3333 0.0242  4 O 1.91
Ga 0.6667 0.3333 0.1745  4 O 1.79-1.87
Ga 0.6667 0.3333 0.3255  4 O 1.79-1.87
Ga 0.6667 0.3333 0.4758  4 O 1.91
Ga 0.8320 0.1680 0.6070  4 O 1.90-2.08
Ga 0.8320 0.1680 0.8930  4 O 1.90-2.08
Ga 0.8320 0.6640 0.6070  4 O 1.90-2.08
Ga 0.8320 0.6640 0.8930  4 O 1.90-2.08
N 0.3333 0.6667 0.2500  6 O 3.01
N 0.6667 0.3333 0.7500  6 O 3.01
O 0.0000 0.0000 0.1408  3 Ga 1.90
O 0.0000 0.0000 0.3592  3 Ga 1.90
O 0.0000 0.0000 0.6408  3 Ga 1.90
O 0.0000 0.0000 0.8592  3 Ga 1.90
O 0.0038 0.5019 0.1453  3 Ga 1.87-1.92
O 0.0038 0.5019 0.3547  3 Ga 1.87-1.92
O 0.1573 0.3145 0.5498  2 Ga 1.91-2.00
O 0.1573 0.3145 0.9502  2 Ga 1.91-2.00
O 0.1573 0.8427 0.5498  2 Ga 1.91-2.00
O 0.1573 0.8427 0.9502  2 Ga 1.91-2.00
O 0.3145 0.1573 0.0498  2 Ga 1.91-2.00
O 0.3145 0.1573 0.4502  2 Ga 1.91-2.00
O 0.3333 0.6667 0.0564  4 Ga 1.91-2.08
O 0.3333 0.6667 0.4436  4 Ga 1.91-2.08
O 0.3333 0.6667 0.7500  2 Ga 1.79
O 0.4981 0.5019 0.1453  3 Ga 1.87-1.92
O 0.4981 0.5019 0.3547  3 Ga 1.87-1.92
O 0.4981 0.9962 0.1453  3 Ga 1.87-1.92
O 0.4981 0.9962 0.3547  3 Ga 1.87-1.92
O 0.5019 0.0038 0.6453  3 Ga 1.87-1.92
O 0.5019 0.0038 0.8547  3 Ga 1.87-1.92
O 0.5019 0.4981 0.6453  3 Ga 1.87-1.92
O 0.5019 0.4981 0.8547  3 Ga 1.87-1.92
O 0.6667 0.3333 0.2500  2 Ga 1.79
O 0.6667 0.3333 0.5564  4 Ga 1.91-2.08
O 0.6667 0.3333 0.9436  4 Ga 1.91-2.08
O 0.6855 0.8427 0.5498  2 Ga 1.91-2.00
O 0.6855 0.8427 0.9502  2 Ga 1.91-2.00
O 0.8427 0.1573 0.0498  2 Ga 1.91-2.00
O 0.8427 0.1573 0.4502  2 Ga 1.91-2.00
O 0.8427 0.6855 0.0498  2 Ga 1.91-2.00
O 0.8427 0.6855 0.4502  2 Ga 1.91-2.00
O 0.9962 0.4981 0.6453  3 Ga 1.87-1.92
O 0.9962 0.4981 0.8547  3 Ga 1.87-1.92



Values for formation energy from the elements, meV/atom, ordered as above
-3122; -1909
Values for M_tot, μB/atom, ordered as above
0.000; 0.115